A plane-wave DFT calculation with r²SCAN was carried out for a relaxed structure of Na4W5O15.

Computed properties:
final energy	-416.07	eV for the cell shown
space-group type	C2/m, No. 12
total magnetic moment	0.00	Bohr magnetons per cell
formation energy	-2.308	eV per atom

Structure (POSCAR):
```
Na4W5O15
1.0
2.734 8.202 0.023
-2.734 8.202 0.023
0.000 1.805 6.450
O W Na
15 5 4
Direct
0.303 0.798 0.303 O
0.101 0.596 0.101 O
0.899 0.899 0.403 O
0.404 0.899 0.899 O
0.596 0.101 0.101 O
0.700 0.700 0.200 O
0.500 0.000 0.500 O
0.000 0.500 0.500 O
0.697 0.202 0.697 O
0.899 0.404 0.899 O
0.500 0.500 0.000 O
0.202 0.697 0.697 O
0.300 0.300 0.800 O
0.101 0.101 0.597 O
0.798 0.303 0.303 O
0.801 0.801 0.298 W
0.000 0.000 0.500 W
0.599 0.599 0.100 W
0.199 0.199 0.702 W
0.401 0.401 0.900 W
0.401 0.401 0.399 Na
0.199 0.199 0.199 Na
0.599 0.599 0.601 Na
0.801 0.801 0.801 Na
```